## 1
## Li2VNiO4 (PBE with a Hubbard U)

Data for Li2VNiO4 after structural relaxation.

POSCAR file:
```
Li2VNiO4
1.0
5.878 0.000 0.000
2.927 5.127 0.000
2.929 -1.666 4.852
Li V Ni O
4 2 2 8
Cartesian
0.000 0.000 0.000
1.464 -0.833 2.426
2.939 0.000 0.000
4.403 2.564 0.000
2.928 1.731 2.426
5.867 1.731 2.426
1.464 2.564 0.000
4.403 -0.833 2.426
2.953 0.198 3.514
4.432 2.539 3.546
4.448 0.941 1.304
5.821 0.120 3.580
5.913 3.341 1.272
7.286 2.520 3.548
7.302 0.923 1.305
8.781 3.264 1.337
```

**M_tot**: 6.00 Bohr magnetons per cell

## 2
## Li2VNiO4 (PBE with a Hubbard U)

Data for Li2VNiO4 after structural relaxation.

POSCAR file:
```
Li2VNiO4
1.0
4.202 -4.129 0.000
4.202 4.129 0.000
-4.180 0.000 4.214
Li V Ni O
4 2 2 8
Cartesian
0.000 0.000 0.000
-2.090 0.000 2.107
2.101 2.065 0.000
0.011 -2.065 2.107
4.202 0.000 0.000
2.111 0.000 2.107
0.011 2.065 2.107
2.101 -2.065 0.000
2.173 0.013 0.077
0.082 -0.013 2.184
0.045 1.896 4.186
2.087 1.896 2.135
2.136 -1.896 2.079
4.177 -1.896 0.028
4.140 0.013 2.030
2.050 -0.013 4.137
```

**M_tot**: 4.00 Bohr magnetons per cell

Name the most stable of them. 2.

## 1
## Li2VNiO4 (PBE with a Hubbard U)

Data for Li2VNiO4 after structural relaxation.

POSCAR file:
```
Li2VNiO4
1.0
5.074 0.000 0.000
0.000 2.977 0.000
-1.629 0.000 4.839
Li V Ni O
2 1 1 4
Cartesian
0.000 0.000 0.000
2.537 1.489 0.000
-0.815 1.489 2.420
1.722 0.000 2.420
-0.027 0.000 3.549
0.746 1.489 1.335
2.698 1.489 3.504
3.471 0.000 1.290
```

**M_tot**: 3.00 Bohr magnetons per cell

## 2
## Li2VNiO4 (PBE with a Hubbard U)

Data for Li2VNiO4 after structural relaxation.

POSCAR file:
```
Li2VNiO4
1.0
5.137 0.000 0.000
-0.016 5.885 0.000
-1.707 -2.941 4.856
Li V Ni O
4 2 2 8
Cartesian
-1.711 -1.521 4.856
5.125 4.465 0.000
-0.831 0.000 2.414
4.245 2.944 2.441
1.715 -1.471 2.428
1.707 1.472 2.428
2.569 0.000 0.000
2.561 2.943 0.000
0.922 0.001 1.304
0.125 1.462 3.599
0.135 -1.459 3.599
0.931 2.942 1.371
2.484 0.002 3.485
3.279 4.403 1.257
3.290 1.482 1.257
2.492 2.943 3.552
```

**M_tot**: 6.00 Bohr magnetons per cell

Name the most stable of them. 1.

## 1
## Li4V3NiO8 (PBE with a Hubbard U)

Data for Li4V3NiO8 after structural relaxation.

POSCAR file:
```
Li4V3NiO8
1.0
2.903 1.676 4.882
-2.903 1.676 4.882
0.000 -3.352 4.882
Li V Ni O
4 3 1 8
Cartesian
0.000 0.000 0.000
-1.451 -0.838 4.882
-1.451 0.838 9.765
0.000 1.676 4.882
-2.903 0.000 7.324
-1.451 0.838 2.441
1.451 0.838 2.441
0.000 0.000 7.324
-1.499 -0.866 8.449
0.000 0.000 3.595
0.000 -1.731 6.199
-1.499 0.866 6.199
1.499 -0.866 8.449
0.000 1.731 8.449
0.000 0.000 11.052
1.499 0.866 6.199
```

**M_tot**: 7.00 Bohr magnetons per cell

## 2
## Li4V3NiO8 (PBE with a Hubbard U)

Data for Li4V3NiO8 after structural relaxation.

POSCAR file:
```
Li4V3NiO8
1.0
5.928 0.000 0.000
-2.910 5.176 0.000
-0.071 -3.418 4.879
Li V Ni O
4 3 1 8
Cartesian
0.000 0.000 0.000
-1.455 2.588 0.000
2.964 0.000 0.000
1.509 2.588 0.000
-0.036 -1.709 2.440
-1.491 0.879 2.440
2.928 -1.709 2.440
1.473 0.879 2.440
-0.120 1.544 1.294
-1.557 4.105 1.337
0.029 0.333 3.548
1.612 -2.396 3.548
1.334 4.155 1.331
2.917 1.426 1.331
4.503 -2.346 3.542
3.066 0.215 3.585
```

**M_tot**: 7.00 Bohr magnetons per cell

Name the most stable of them. 1.

## 1
## Li4VNi3O8 (PBE with a Hubbard U)

Data for Li4VNi3O8 after structural relaxation.

POSCAR file:
```
Li4VNi3O8
1.0
2.939 1.697 4.802
-2.939 1.697 4.802
0.000 -3.394 4.802
Li V Ni O
4 1 3 8
Cartesian
0.000 0.000 0.000
-1.447 -0.836 4.802
1.447 -0.836 4.802
0.000 1.671 4.802
0.000 0.000 7.260
0.000 -1.697 2.458
-1.470 0.848 2.458
1.470 0.848 2.458
0.000 0.000 3.539
0.000 -1.599 6.110
-1.385 0.799 6.110
-1.385 -0.799 8.411
1.385 0.799 6.110
1.385 -0.799 8.411
0.000 1.599 8.411
0.000 0.000 10.981
```

**M_tot**: 5.01 Bohr magnetons per cell

## 2
## Li4VNi3O8 (PBE with a Hubbard U)

Data for Li4VNi3O8 after structural relaxation.

POSCAR file:
```
Li4VNi3O8
1.0
5.874 0.000 0.000
-2.933 5.095 0.000
-2.937 -1.701 4.802
Li V Ni O
4 1 3 8
Cartesian
0.000 0.000 0.000
-1.448 2.555 0.010
2.910 -0.002 0.037
1.489 2.551 0.037
0.007 1.674 2.415
-4.382 4.226 2.420
-2.923 1.687 2.427
1.486 -0.853 2.418
-2.926 3.389 1.379
-1.352 0.895 1.314
0.016 3.262 1.312
-1.341 2.476 3.525
0.022 0.110 3.532
1.379 0.907 1.310
1.387 2.481 3.531
2.966 -0.019 3.462
```

**M_tot**: 5.00 Bohr magnetons per cell

Name the most stable of them. 2.

## 1
## LiV4Ni2O12 (PBE with a Hubbard U)

Data for LiV4Ni2O12 after structural relaxation.

POSCAR file:
```
LiV4Ni2O12
1.0
5.742 0.000 0.000
2.010 6.430 0.000
1.654 0.502 6.708
Li V Ni O
1 4 2 12
Cartesian
0.000 0.000 0.000
2.634 3.920 5.524
1.309 0.775 2.917
3.949 2.120 0.082
6.192 6.025 4.071
2.296 4.172 2.012
5.190 5.133 0.925
1.570 2.284 2.292
2.905 4.431 3.914
3.293 6.067 1.599
2.607 0.427 4.157
4.195 2.791 5.798
4.050 3.439 1.226
3.918 0.578 0.851
6.514 5.236 5.563
6.132 4.933 2.777
5.463 0.815 3.749
7.154 2.481 5.912
7.064 4.507 0.262
```

**M_tot**: 2.80 Bohr magnetons per cell

## 2
## LiV4Ni2O12 (PBE with a Hubbard U)

Data for LiV4Ni2O12 after structural relaxation.

POSCAR file:
```
LiV4Ni2O12
1.0
5.753 0.000 0.000
1.933 6.446 0.000
1.598 0.541 6.677
Li V Ni O
1 4 2 12
Cartesian
0.000 0.000 0.000
2.910 1.459 0.466
5.150 5.440 4.380
7.306 3.367 5.864
8.028 6.583 3.248
4.193 4.509 1.287
7.024 3.580 2.362
2.275 5.486 1.894
3.583 6.295 4.522
2.997 2.057 6.219
3.005 2.828 1.545
4.812 6.440 1.323
5.460 4.722 5.904
5.072 4.287 3.144
6.421 6.656 4.035
6.037 1.944 6.210
6.002 3.802 0.670
6.342 1.660 2.655
7.626 3.910 4.255
```

**M_tot**: 2.87 Bohr magnetons per cell

Name the most stable of them. 1.

## 1
## Li3YNi2O6 (PBE with a Hubbard U)

Data for Li3YNi2O6 after structural relaxation.

POSCAR file:
```
Li3YNi2O6
1.0
2.628 -4.619 0.000
2.628 4.619 0.000
-1.580 0.000 4.980
Li Y Ni O
3 1 2 6
Cartesian
0.000 0.000 0.000
2.628 1.774 0.000
2.628 -1.774 0.000
1.838 0.000 2.490
1.838 3.085 2.490
1.838 -3.085 2.490
0.858 1.675 1.337
-0.080 0.000 3.670
0.858 -1.675 1.337
2.818 1.675 3.643
3.756 0.000 1.310
2.818 -1.675 3.643
```

**M_tot**: 2.00 Bohr magnetons per cell

## 2
## Li3YNi2O6 (PBE with a Hubbard U)

Data for Li3YNi2O6 after structural relaxation.

POSCAR file:
```
Li3YNi2O6
1.0
2.639 -4.626 0.000
2.639 4.626 0.000
-2.133 0.000 9.895
Li Y Ni O
6 2 4 12
Cartesian
-0.277 1.808 7.421
0.671 0.000 2.476
-0.393 -1.027 7.426
3.422 1.808 2.474
2.474 0.000 7.419
3.538 -1.027 2.469
1.573 1.772 4.948
2.639 -2.801 0.000
2.639 3.348 0.000
2.639 0.275 0.000
1.573 -1.302 4.948
1.573 -4.377 4.948
-1.266 0.062 8.796
1.931 1.946 1.142
-0.197 -1.093 3.846
0.500 0.167 6.102
1.214 1.946 8.753
1.567 -1.196 1.154
2.646 0.167 3.793
0.868 -2.972 6.088
1.578 -1.196 8.742
4.411 0.062 1.099
2.277 -2.972 3.807
3.342 -1.093 6.050
```

**M_tot**: 4.00 Bohr magnetons per cell

Name the most stable of them. 2.